Record 1
! SiO2, optimized geometry, DFT PBE; values from VASP
&SYSTEM
  ibrav = 0, nat = 48, ntyp = 2
/
ATOMIC_SPECIES
O 16.00 O.upf
Si 28.09 Si.upf
CELL_PARAMETERS angstrom
-3.4935 -4.2965 5.8046
1.4886 -7.4535 -4.6211
7.8791 -0.9767 4.0191
ATOMIC_POSITIONS crystal
O 0.9612 0.8432 0.2516
O 0.3224 0.2492 0.5036
O 0.2327 0.7287 0.7817
O 0.9179 0.2255 0.4803
O 0.4612 0.1568 0.2484
O 0.5000 0.5000 0.5000
Si 0.1070 0.6574 0.6580
Si 0.6278 0.8960 0.5954
O 0.5821 0.2255 0.9803
O 0.3145 0.4988 0.0998
Si 0.3595 0.4050 0.5905
O 0.4179 0.7745 0.0197
Si 0.3930 0.6574 0.1580
Si 0.3714 0.8392 0.8542
O 0.0000 0.0000 0.0000
O 0.2957 0.0089 0.8666
O 0.6776 0.7508 0.4964
O 0.2043 0.0089 0.3666
Si 0.8714 0.1608 0.6458
Si 0.6070 0.3426 0.8420
Si 0.1286 0.8392 0.3542
O 0.8224 0.7508 0.9964
Si 0.8722 0.8960 0.0954
Si 0.3722 0.1040 0.4046
O 0.5722 0.6277 0.2392
O 0.8145 0.5012 0.4002
O 0.5388 0.8432 0.7516
Si 0.6405 0.5950 0.4095
O 0.0000 0.5000 0.0000
O 0.7673 0.2713 0.2183
O 0.7043 0.9911 0.1334
Si 0.1405 0.4050 0.0905
O 0.9278 0.6277 0.7392
O 0.1776 0.2492 0.0036
O 0.7327 0.2713 0.7183
Si 0.1278 0.1040 0.9046
O 0.2673 0.7287 0.2817
O 0.0722 0.3723 0.2608
O 0.4278 0.3723 0.7608
O 0.6855 0.5012 0.9002
O 0.0388 0.1568 0.7484
Si 0.8930 0.3426 0.3420
O 0.0821 0.7745 0.5197
Si 0.6286 0.1608 0.1458
Si 0.8595 0.5950 0.9095
O 0.7957 0.9911 0.6334
O 0.5000 0.0000 0.5000
O 0.1855 0.4988 0.5998
! ΔH_f (0 K)   -3246 meV per atom
! Density   2.514 Mg/m³

---

Record 2
! ScZn2, optimized geometry, DFT PBE; values from VASP
&SYSTEM
  ibrav = 0, nat = 12, ntyp = 2
/
ATOMIC_SPECIES
Sc 44.96 Sc.upf
Zn 65.41 Zn.upf
CELL_PARAMETERS angstrom
-2.6406 -4.5736 0.0000
-2.6406 4.5736 0.0000
0.0000 0.0000 -8.4916
ATOMIC_POSITIONS crystal
Sc 0.3333 0.6667 0.0615
Zn 0.6579 0.8289 0.7500
Zn 0.1711 0.8289 0.7500
Zn 0.8289 0.6579 0.2500
Sc 0.6667 0.3333 0.9385
Zn 0.3421 0.1711 0.2500
Sc 0.6667 0.3333 0.5615
Zn 0.8289 0.1711 0.2500
Zn 0.0000 0.0000 0.5000
Zn 0.0000 0.0000 0.0000
Sc 0.3333 0.6667 0.4385
Zn 0.1711 0.3421 0.7500
! ΔH_f (0 K)   -346 meV per atom
! Density   5.692 Mg/m³

---

Record 3
! Na7La2Hf2Si3P3O24, optimized geometry, DFT PBE; values from VASP
&SYSTEM
  ibrav = 0, nat = 123, ntyp = 6
/
ATOMIC_SPECIES
O 16.00 O.upf
Na 22.99 Na.upf
Si 28.09 Si.upf
P 30.97 P.upf
La 138.91 La.upf
Hf 178.49 Hf.upf
CELL_PARAMETERS angstrom
9.4336 -0.0096 -0.0074
-4.7251 8.1781 -0.0027
-0.0193 -0.0188 23.1501
ATOMIC_POSITIONS crystal
O 0.8313 0.2996 0.2545
O 0.5421 0.6488 0.8568
Na 0.0295 0.3426 0.0875
O 0.8361 0.3067 0.5333
Si 0.0236 0.6639 0.4172
O 0.3087 0.4649 0.4626
O 0.0798 0.6134 0.3572
Na 0.6359 0.6357 0.7463
O 0.1072 0.4582 0.8613
O 0.3692 0.4460 0.3577
Na 0.6598 0.9717 0.5812
Si 0.7031 0.0032 0.7455
O 0.1605 0.1814 0.0931
Si 0.3574 0.0199 0.5814
O 0.8607 0.3414 0.9237
O 0.3434 0.8920 0.8589
P 0.6649 0.6405 0.5829
Si 0.6323 0.6627 0.9188
Na 0.3431 0.3070 0.9218
Na 0.0008 0.9988 0.5001
O 0.0253 0.8397 0.4123
O 0.4929 0.1334 0.9219
Na 0.0340 0.6919 0.5816
Si 0.3470 0.3362 0.0832
La 0.3400 0.6688 0.8145
O 0.9959 0.8291 0.0955
O 0.1704 0.9929 0.5867
Na 0.0112 0.9932 0.0040
O 0.7931 0.0189 0.8078
O 0.8249 0.0026 0.4130
O 0.8181 0.9872 0.0940
O 0.5222 0.6705 0.5674
O 0.4659 0.1521 0.5305
O 0.4721 0.3797 0.1384
O 0.1750 0.1880 0.4144
O 0.8101 0.8328 0.9251
Hf 0.0027 0.0065 0.6441
O 0.1666 0.6703 0.0738
O 0.5491 0.7065 0.2509
O 0.1790 0.9754 0.9241
P 0.2805 0.0008 0.2536
O 0.4595 0.0756 0.6418
O 0.9975 0.1804 0.3097
Na 0.9664 0.3089 0.4167
P 0.3359 0.9631 0.9184
O 0.8229 0.8170 0.3043
O 0.8446 0.5046 0.4333
Na 0.6786 0.3445 0.3369
Na 0.6706 0.6878 0.0821
Na 0.6983 0.0302 0.9187
Si 0.9992 0.2862 0.2523
O 0.1625 0.6922 0.4669
O 0.6909 0.5329 0.5378
P 0.9974 0.7048 0.7447
O 0.1567 0.4941 0.5651
O 0.3273 0.4998 0.0758
O 0.1796 0.9968 0.2002
O 0.9983 0.1829 0.1951
O 0.8687 0.5817 0.0271
O 0.6828 0.1662 0.7436
O 0.0391 0.2087 0.9244
O 0.5182 0.8387 0.0752
O 0.0018 0.8150 0.6934
Na 0.3337 0.6603 0.6623
Na 0.6349 0.0044 0.2553
O 0.4801 0.3318 0.4315
O 0.7104 0.1229 0.0311
O 0.8194 0.9978 0.6923
O 0.2268 0.2102 0.8054
La 0.6680 0.3330 0.1805
O 0.9262 0.3872 0.6424
La 0.6656 0.3295 0.6687
P 0.6685 0.0119 0.0846
Si 0.6374 0.9766 0.4173
P 0.2935 0.2924 0.7464
Na 0.9878 0.3610 0.7447
O 0.5338 0.9161 0.3570
O 0.6362 0.0889 0.1381
O 0.2914 0.4553 0.7413
Hf 0.3348 0.6687 0.0183
Hf 0.3333 0.6674 0.5123
O 0.5331 0.8483 0.4691
O 0.1455 0.4834 0.9702
O 0.8277 0.8120 0.5850
O 0.9076 0.5254 0.1385
O 0.1896 0.0051 0.3090
P 0.0374 0.3718 0.9196
P 0.3362 0.3609 0.4169
O 0.1672 0.4674 0.2490
Na 0.0013 0.6192 0.2508
O 0.9780 0.1611 0.5869
O 0.6589 0.1604 0.4294
Na 0.9560 0.6625 0.9242
O 0.4512 0.1591 0.2526
O 0.6537 0.5004 0.9201
Na 0.3359 0.0258 0.4200
Hf 0.9917 0.9972 0.3567
O 0.4692 0.3208 0.7416
La 0.6614 0.3348 0.9950
O 0.5257 0.8321 0.7403
Hf 0.0077 0.0056 0.1490
La 0.3307 0.6635 0.3241
Na 0.6666 0.3335 0.8330
O 0.6317 0.5590 0.6425
P 0.7198 0.7199 0.2504
O 0.1551 0.6923 0.7409
O 0.7040 0.5480 0.2521
Na 0.3634 0.3700 0.2468
Si 0.9877 0.6544 0.0839
Si 0.9788 0.3369 0.5821
O 0.3336 0.8487 0.9670
Na 0.3209 0.6645 0.1641
Na 0.3779 0.0027 0.7424
O 0.4167 0.2995 0.0245
O 0.3390 0.8379 0.5688
O 0.8102 0.8132 0.1954
La 0.9933 0.9977 0.8508
O 0.9904 0.7809 0.8030
Hf 0.6664 0.3320 0.4868
O 0.2964 0.8451 0.2512
O 0.5153 0.6653 0.9715
O 0.8408 0.5337 0.7429
O 0.1809 0.1773 0.6968
! ΔH_f (0 K)   -3102 meV per atom
! Density   3.787 Mg/m³